DFT (GGA+U) results for crystalline Ca7MgTiMn7O20 at its relaxed geometry.

Properties
Formation energy: -2.67 eV per atom
Space-group type: P1

Cell lengths 10.9246, 11.1745, 16.8571 Å; angles 109.28, 108.15, 90.50 degrees
Closest atoms and distances in Å follow each position.
Positions (direct):
Ca  0.0000  0.0000  0.0000  4 O 2.32-2.49
Ca  0.9997  0.4980  0.9976  6 O 2.31-2.56
Ca  0.0089  0.5086  0.5025  4 O 2.21-2.45
Ca  0.1382  0.6414  0.7827  4 O 2.28-2.45
Ca  0.1447  0.6402  0.2847  4 O 2.27-2.47
Ca  0.1470  0.1411  0.7790  4 O 2.30-2.57
Ca  0.1533  0.1403  0.2775  4 O 2.27-2.47
Ca  0.2525  0.7709  0.0008  5 O 2.33-2.55
Ca  0.2543  0.2729  0.9978  6 O 2.32-2.59
Ca  0.2571  0.7690  0.5038  5 O 2.27-2.54
Ca  0.2668  0.2855  0.5045  4 O 2.21-2.39
Ca  0.3930  0.4153  0.2869  5 O 2.29-2.49
Ca  0.3971  0.9157  0.7838  5 O 2.32-2.56
Ca  0.3989  0.4131  0.7818  4 O 2.26-2.48
Ca  0.4012  0.9095  0.2854  6 O 2.31-2.50
Ca  0.4976  0.4999  0.9974  4 O 2.31-2.52
Ca  0.5028  0.0009  0.0007  4 O 2.27-2.50
Ca  0.6419  0.1416  0.2824  4 O 2.24-2.50
Ca  0.6434  0.6473  0.2834  4 O 2.25-2.52
Ca  0.6448  0.1407  0.7786  4 O 2.34-2.52
Ca  0.6446  0.6385  0.7795  5 O 2.36-2.58
Ca  0.7497  0.2709  0.9987  4 O 2.29-2.46
Ca  0.7510  0.7722  0.9994  5 O 2.32-2.57
Ca  0.7585  0.7746  0.5042  3 O 2.22-2.38
Ca  0.8940  0.4094  0.7797  5 O 2.31-2.53
Ca  0.8946  0.9142  0.7818  4 O 2.28-2.50
Ca  0.8970  0.9078  0.2818  5 O 2.30-2.46
Ca  0.9020  0.4180  0.2824  3 O 2.22-2.44
Mg  0.0459  0.9912  0.5145  4 O 1.98-2.21
Mg  0.5394  0.4952  0.5107  4 O 2.02-2.21
Mg  0.5408  0.9973  0.5148  4 O 1.98-2.14
Mg  0.7908  0.2945  0.5151  4 O 1.97-2.15
Ti  0.1997  0.9568  0.3949  5 O 1.87-2.04
Ti  0.6929  0.4522  0.3897  5 O 1.86-2.02
Ti  0.6962  0.9693  0.4005  5 O 1.89-2.00
Ti  0.9480  0.2057  0.3959  5 O 1.88-2.06
Mn  0.0886  0.7975  0.1428  4 O 2.00-2.09
Mn  0.0933  0.3050  0.1412  4 O 1.88-2.00
Mn  0.0931  0.8029  0.6431  4 O 1.98-2.10
Mn  0.0942  0.2967  0.6377  4 O 2.02-2.08
Mn  0.1918  0.4576  0.8888  6 O 1.95-2.07
Mn  0.1920  0.9572  0.8918  6 O 1.96-1.99
Mn  0.1971  0.4579  0.3933  6 O 1.94-2.10
Mn  0.3428  0.6061  0.1440  4 O 1.89-2.00
Mn  0.3449  0.1166  0.1421  4 O 2.01-2.10
Mn  0.3477  0.6086  0.6391  4 O 1.89-2.04
Mn  0.3511  0.1146  0.6384  4 O 2.02-2.09
Mn  0.4420  0.2076  0.3941  6 O 1.92-2.01
Mn  0.4429  0.2070  0.8907  6 O 1.97-1.99
Mn  0.4428  0.7087  0.8902  6 O 1.94-2.04
Mn  0.4449  0.7099  0.3973  6 O 1.87-2.01
Mn  0.5867  0.8015  0.1428  4 O 2.00-2.08
Mn  0.5919  0.7973  0.6380  4 O 2.02-2.10
Mn  0.5929  0.3069  0.1427  4 O 2.01-2.09
Mn  0.6011  0.2982  0.6326  4 O 2.04-2.10
Mn  0.6917  0.9570  0.8908  6 O 1.96-2.00
Mn  0.6935  0.4573  0.8894  6 O 1.94-2.06
Mn  0.8377  0.1168  0.1437  4 O 2.01-2.10
Mn  0.8393  0.6073  0.1412  4 O 1.88-2.00
Mn  0.8411  0.6078  0.6413  4 O 2.00-2.08
Mn  0.8522  0.1131  0.6368  4 O 2.02-2.09
Mn  0.9414  0.7069  0.8923  6 O 1.95-2.00
Mn  0.9420  0.7143  0.3932  6 O 1.89-2.03
Mn  0.9441  0.2047  0.8905  6 O 1.96-2.05
O  0.0017  0.8163  0.5209  2 Mn 1.96-2.05, 1 Mg 2.05
O  0.0034  0.3023  0.0256  2 Mn 1.88-2.05
O  0.0232  0.6210  0.1433  2 Mn 2.00-2.09
O  0.0276  0.1420  0.1425  2 Mn 1.96-2.10
O  0.0292  0.6297  0.6405  2 Mn 2.03-2.07, 2 Ca 2.21-2.28
O  0.0389  0.1128  0.6287  1 Mg 1.98, 2 Mn 2.08-2.09
O  0.0556  0.8195  0.3721  1 Mn 1.89, 1 Ti 2.04
O  0.0583  0.8217  0.8745  2 Mn 1.96-1.98
O  0.0599  0.0862  0.4211  1 Ti 1.88
O  0.0653  0.3188  0.3798  1 Ti 1.93, 1 Mn 2.02
O  0.0658  0.3250  0.8809  2 Mn 1.96
O  0.0685  0.5969  0.4026  2 Mn 1.92-2.10
O  0.0784  0.0923  0.9100  2 Mn 1.96-1.97
O  0.0776  0.5938  0.9097  2 Mn 1.98-1.99
O  0.1118  0.9306  0.2667  1 Ti 1.99, 1 Mn 2.06
O  0.1134  0.4212  0.7606  2 Mn 1.96-2.02
O  0.1182  0.9294  0.7630  2 Mn 1.98
O  0.1236  0.4195  0.2614  2 Mn 1.93-2.01
O  0.2347  0.9801  0.5209  1 Ti 1.96, 1 Mg 2.04, 1 Mn 2.06
O  0.2391  0.4999  0.5229  2 Mn 1.92-1.97
O  0.2473  0.9869  0.0218  2 Mn 1.99-2.01
O  0.2580  0.4975  0.0249  2 Mn 1.89-2.07
O  0.2767  0.2916  0.1427  2 Mn 2.00-2.10
O  0.2768  0.7696  0.1447  2 Mn 1.97-2.07
O  0.2823  0.7714  0.6429  2 Mn 1.95-2.10
O  0.2853  0.2885  0.6398  2 Mn 2.07-2.08, 2 Ca 2.21-2.26
O  0.3067  0.8239  0.3736  1 Ti 1.91, 1 Mn 2.01
O  0.3077  0.8239  0.8723  2 Mn 1.97-1.99
O  0.3113  0.3175  0.3718  2 Mn 1.92-2.02
O  0.3113  0.3265  0.8737  2 Mn 1.98-1.99
O  0.3134  0.0957  0.4105  1 Ti 1.87, 1 Mn 2.01
O  0.3238  0.5865  0.9002  2 Mn 1.95-1.96
O  0.3249  0.5925  0.4089  2 Mn 1.94
O  0.3271  0.0882  0.9078  2 Mn 1.96-1.97
O  0.3695  0.1018  0.2638  2 Mn 2.01-2.05
O  0.3742  0.1096  0.7610  2 Mn 1.98-2.02
O  0.3738  0.6125  0.2653  2 Mn 1.94-2.01
O  0.3831  0.6110  0.7565  2 Mn 1.89-2.04
O  0.4891  0.8216  0.5189  2 Mn 1.92-2.08, 1 Mg 2.07
O  0.4896  0.3246  0.5191  2 Mn 1.98-2.04, 1 Mg 2.04
O  0.4933  0.8017  0.0201  2 Mn 1.98-2.00
O  0.4957  0.3068  0.0198  2 Mn 1.98-2.01
O  0.5241  0.6254  0.1426  2 Mn 2.00-2.08
O  0.5281  0.6137  0.6279  1 Mg 2.02, 2 Mn 2.04-2.10
O  0.5345  0.1313  0.1431  2 Mn 2.06-2.07, 2 Ca 2.24-2.27
O  0.5381  0.1202  0.6298  1 Mg 1.98, 2 Mn 2.08-2.09
O  0.5560  0.0776  0.4190  1 Mn 1.99, 1 Ti 2.00, 1 Mg 2.14
O  0.5560  0.3132  0.3702  1 Mn 1.93, 1 Ti 2.02
O  0.5593  0.8112  0.3760  1 Mn 1.87
O  0.5603  0.8234  0.8750  2 Mn 1.94-1.96
O  0.5638  0.3236  0.8757  2 Mn 1.96-1.98
O  0.5713  0.5956  0.4247  1 Mn 1.94, 1 Ti 2.14
O  0.5759  0.5912  0.9045  2 Mn 1.98
O  0.5779  0.0928  0.9090  2 Mn 1.98
O  0.6079  0.4352  0.2676  1 Ti 1.92, 1 Mn 2.07
O  0.6150  0.9279  0.2688  1 Ti 2.00, 1 Mn 2.05
O  0.6169  0.9247  0.7607  2 Mn 1.99-2.02
O  0.6281  0.4195  0.7596  2 Mn 1.97-2.05
O  0.7307  0.9816  0.5236  1 Ti 1.95, 1 Mn 2.02, 1 Mg 2.05
O  0.7351  0.4716  0.5192  1 Ti 2.02, 2 Mg 2.06-2.12, 1 Mn 2.08
O  0.7474  0.9883  0.0213  2 Mn 2.00-2.01
O  0.7511  0.4951  0.0244  2 Mn 1.88-2.06
O  0.7744  0.7711  0.1423  2 Mn 1.96-2.08
O  0.7807  0.7814  0.6411  2 Mn 2.06, 2 Ca 2.22-2.28
O  0.7845  0.2939  0.1447  2 Mn 2.06-2.09, 2 Ca 2.22-2.29
O  0.7920  0.2867  0.6306  1 Mg 1.97, 2 Mn 2.08-2.10
O  0.8016  0.1168  0.4176  2 Ti 1.89-2.06
O  0.8081  0.8238  0.8736  2 Mn 1.97-1.99
O  0.8100  0.3351  0.3716  1 Ti 1.86
O  0.8109  0.8386  0.3795  1 Ti 1.95, 1 Mn 2.02
O  0.8159  0.3271  0.8801  2 Mn 1.97-1.99
O  0.8223  0.5951  0.4095  1 Ti 1.99, 1 Mn 2.00
O  0.8267  0.0874  0.9064  2 Mn 1.96
O  0.8282  0.5897  0.9106  2 Mn 1.94-1.95
O  0.8628  0.6149  0.2604  2 Mn 1.92-2.03
O  0.8668  0.1080  0.2694  1 Ti 1.95, 1 Mn 2.08
O  0.8707  0.6066  0.7643  2 Mn 1.96-2.00
O  0.8753  0.1149  0.7614  2 Mn 1.96-2.03
O  0.9809  0.3177  0.5215  1 Ti 1.99, 1 Mn 2.05, 1 Mg 2.06
O  0.9945  0.8067  0.0229  2 Mn 2.00

DFT (GGA+U) results for crystalline CaMg6VO8 at its relaxed geometry.

Properties
Formation energy: -2.90 eV per atom
ΔE to the lowest computed polymorph: 0.00 eV/f.u.
Space-group type: P4/mmm

Cell lengths 4.3878, 4.3878, 8.6835 Å; angles 90.00, 90.00, 90.00 degrees
Closest atoms and distances in Å follow each position.
Positions (direct):
Ca  0.0000  0.0000  0.0000  6 O 2.19-2.30
Mg  0.0000  0.0000  0.5000  6 O 2.04-2.19
Mg  0.0000  0.5000  0.2573  6 O 2.11-2.23
Mg  0.0000  0.5000  0.7427  6 O 2.11-2.23
Mg  0.5000  0.0000  0.2573  6 O 2.11-2.23
Mg  0.5000  0.0000  0.7427  6 O 2.11-2.23
Mg  0.5000  0.5000  0.5000  6 O 2.12-2.19
V  0.5000  0.5000  0.0000  6 O 2.19-2.22
O  0.0000  0.0000  0.2647  5 Mg 2.04-2.19
O  0.0000  0.0000  0.7353  5 Mg 2.04-2.19
O  0.0000  0.5000  0.0000  2 Ca 2.19, 2 V 2.19, 2 Mg 2.23
O  0.0000  0.5000  0.5000  6 Mg 2.11-2.19
O  0.5000  0.0000  0.0000  2 Ca 2.19, 2 V 2.19, 2 Mg 2.23
O  0.5000  0.0000  0.5000  6 Mg 2.11-2.19
O  0.5000  0.5000  0.2554  5 Mg 2.12-2.19, 1 V 2.22
O  0.5000  0.5000  0.7446  5 Mg 2.12-2.19, 1 V 2.22

DFT (GGA+U) results for crystalline CaMg6VO8 at its relaxed geometry.

Properties
Formation energy: -2.88 eV per atom
ΔE to the lowest computed polymorph: 0.24 eV/f.u.
Space-group type: P4/mmm

Cell lengths 4.3853, 4.3853, 8.7452 Å; angles 90.00, 90.00, 90.00 degrees
Closest atoms and distances in Å follow each position.
Positions (direct):
Ca  0.0000  0.0000  0.0000  6 O 2.19-2.26
Mg  0.0000  0.5000  0.2555  6 O 2.14-2.23
Mg  0.0000  0.5000  0.7445  6 O 2.14-2.23
Mg  0.5000  0.0000  0.2555  6 O 2.14-2.23
Mg  0.5000  0.0000  0.7445  6 O 2.14-2.23
Mg  0.5000  0.5000  0.0000  6 O 2.19-2.20
Mg  0.5000  0.5000  0.5000  6 O 2.17-2.19
V  0.0000  0.0000  0.5000  6 O 2.11-2.19
O  0.0000  0.0000  0.2587  1 V 2.11, 4 Mg 2.19, 1 Ca 2.26
O  0.0000  0.0000  0.7413  1 V 2.11, 4 Mg 2.19, 1 Ca 2.26
O  0.0000  0.5000  0.0000  4 Mg 2.19-2.23, 2 Ca 2.19
O  0.0000  0.5000  0.5000  4 Mg 2.14-2.19, 2 V 2.19
O  0.5000  0.0000  0.0000  4 Mg 2.19-2.23, 2 Ca 2.19
O  0.5000  0.0000  0.5000  4 Mg 2.14-2.19, 2 V 2.19
O  0.5000  0.5000  0.2515  6 Mg 2.17-2.20
O  0.5000  0.5000  0.7485  6 Mg 2.17-2.20

Q: Among the records above, which one has the highest formation energy?
A: Ca7MgTiMn7O20

Q: Which value of formation energy does entry 3 give?
A: -2.88 eV per atom

Q: What is the formula in the second record?
A: CaMg6VO8

Q: Look up the formation energy of the third one.
A: -2.88 eV per atom